No. 1
# UFe2Si2 | the Materials Project | r2SCAN | relaxed
# Symmetry ... I4/mmm
# Energy relative to the elements ... -41.6 kJ/mol of atoms
# VASP energy ... -25.694 eV per atom
data_UFe2Si2
_chemical_formula_sum 'U1 Fe2 Si2'
_space_group_name_H-M_alt 'P 1'
_space_group_IT_number 1
_cell_length_a 5.4040
_cell_length_b 5.4040
_cell_length_c 5.4040
_cell_angle_alpha 136.95
_cell_angle_beta 136.95
_cell_angle_gamma 62.52
loop_
_space_group_symop_operation_xyz
'x,y,z'
loop_
_atom_site_label
_atom_site_type_symbol
_atom_site_fract_x
_atom_site_fract_y
_atom_site_fract_z
U1 U 0.0000 0.0000 0.0000
Fe1 Fe 0.2500 0.7500 0.5000
Fe2 Fe 0.7500 0.2500 0.5000
Si1 Si 0.3671 0.3671 0.0000
Si2 Si 0.6329 0.6329 0.0000

***

No. 2
# CeGaPt | the Materials Project | r2SCAN | relaxed
# Symmetry ... Pnma
# Energy relative to the elements ... -109.0 kJ/mol of atoms
# VASP energy ... -32.386 eV per atom
data_CeGaPt
_chemical_formula_sum 'Ce4 Ga4 Pt4'
_space_group_name_H-M_alt 'P 1'
_space_group_IT_number 1
_cell_length_a 7.1424
_cell_length_b 4.4965
_cell_length_c 7.7506
_cell_angle_alpha 90.00
_cell_angle_beta 90.00
_cell_angle_gamma 90.00
loop_
_space_group_symop_operation_xyz
'x,y,z'
loop_
_atom_site_label
_atom_site_type_symbol
_atom_site_fract_x
_atom_site_fract_y
_atom_site_fract_z
Ce1 Ce 0.0194 0.2500 0.2003
Ce2 Ce 0.4806 0.7500 0.7003
Ce3 Ce 0.5194 0.2500 0.2997
Ce4 Ce 0.9806 0.7500 0.7997
Ga1 Ga 0.1698 0.2500 0.5774
Ga2 Ga 0.3302 0.7500 0.0774
Ga3 Ga 0.6698 0.2500 0.9226
Ga4 Ga 0.8302 0.7500 0.4226
Pt1 Pt 0.2189 0.7500 0.4047
Pt2 Pt 0.2811 0.2500 0.9047
Pt3 Pt 0.7189 0.7500 0.0953
Pt4 Pt 0.7811 0.2500 0.5953

***

No. 3
# Sr6Ga5N | the Materials Project | r2SCAN | relaxed
# Symmetry ... R-3c
# Energy relative to the elements ... -55.4 kJ/mol of atoms
# VASP energy ... -13.675 eV per atom
data_Sr6Ga5N
_chemical_formula_sum 'Sr12 Ga10 N2'
_space_group_name_H-M_alt 'P 1'
_space_group_IT_number 1
_cell_length_a 14.0807
_cell_length_b 14.0807
_cell_length_c 14.0807
_cell_angle_alpha 31.19
_cell_angle_beta 31.19
_cell_angle_gamma 31.19
loop_
_space_group_symop_operation_xyz
'x,y,z'
loop_
_atom_site_label
_atom_site_type_symbol
_atom_site_fract_x
_atom_site_fract_y
_atom_site_fract_z
Sr1 Sr 0.1353 0.7155 0.2578
Sr2 Sr 0.2155 0.6353 0.7578
Sr3 Sr 0.2422 0.7845 0.3647
Sr4 Sr 0.2578 0.1353 0.7155
Sr5 Sr 0.2845 0.7422 0.8647
Sr6 Sr 0.3647 0.2422 0.7845
Sr7 Sr 0.6353 0.7578 0.2155
Sr8 Sr 0.7155 0.2578 0.1353
Sr9 Sr 0.7422 0.8647 0.2845
Sr10 Sr 0.7578 0.2155 0.6353
Sr11 Sr 0.7845 0.3647 0.2422
Sr12 Sr 0.8647 0.2845 0.7422
Ga1 Ga 0.0435 0.4565 0.2500
Ga2 Ga 0.1952 0.1952 0.1952
Ga3 Ga 0.2500 0.0435 0.4565
Ga4 Ga 0.3048 0.3048 0.3048
Ga5 Ga 0.4565 0.2500 0.0435
Ga6 Ga 0.5435 0.7500 0.9565
Ga7 Ga 0.6952 0.6952 0.6952
Ga8 Ga 0.7500 0.9565 0.5435
Ga9 Ga 0.8048 0.8048 0.8048
Ga10 Ga 0.9565 0.5435 0.7500
N1 N 0.0000 0.0000 0.0000
N2 N 0.5000 0.5000 0.5000

***

No. 4
# CeGa6 | the Materials Project | r2SCAN | relaxed
# Symmetry ... P4/nbm
# Energy relative to the elements ... -35.4 kJ/mol of atoms
# VASP energy ... -14.581 eV per atom
data_CeGa6
_chemical_formula_sum 'Ce2 Ga12'
_space_group_name_H-M_alt 'P 1'
_space_group_IT_number 1
_cell_length_a 5.9956
_cell_length_b 5.9956
_cell_length_c 7.6684
_cell_angle_alpha 90.00
_cell_angle_beta 90.00
_cell_angle_gamma 90.00
loop_
_space_group_symop_operation_xyz
'x,y,z'
loop_
_atom_site_label
_atom_site_type_symbol
_atom_site_fract_x
_atom_site_fract_y
_atom_site_fract_z
Ce1 Ce 0.2500 0.7500 0.0000
Ce2 Ce 0.7500 0.2500 0.0000
Ga1 Ga 0.0454 0.5454 0.3464
Ga2 Ga 0.0454 0.9546 0.6536
Ga3 Ga 0.2500 0.2500 0.1604
Ga4 Ga 0.2500 0.2500 0.8396
Ga5 Ga 0.4546 0.5454 0.6536
Ga6 Ga 0.4546 0.9546 0.3464
Ga7 Ga 0.5454 0.0454 0.6536
Ga8 Ga 0.5454 0.4546 0.3464
Ga9 Ga 0.7500 0.7500 0.1604
Ga10 Ga 0.7500 0.7500 0.8396
Ga11 Ga 0.9546 0.0454 0.3464
Ga12 Ga 0.9546 0.4546 0.6536

***

No. 5
# V3OF11 | the Materials Project | r2SCAN | relaxed
# Symmetry ... P-1
# Energy relative to the elements ... -284.0 kJ/mol of atoms
# VASP energy ... -8.452 eV per atom
# Energy above the lowest structure with this stoichiometry ... 2 meV/atom
data_V3OF11
_chemical_formula_sum 'V6 O2 F22'
_space_group_name_H-M_alt 'P 1'
_space_group_IT_number 1
_cell_length_a 5.0948
_cell_length_b 5.3459
_cell_length_c 14.0242
_cell_angle_alpha 80.17
_cell_angle_beta 89.97
_cell_angle_gamma 89.83
loop_
_space_group_symop_operation_xyz
'x,y,z'
loop_
_atom_site_label
_atom_site_type_symbol
_atom_site_fract_x
_atom_site_fract_y
_atom_site_fract_z
V1 V 0.0000 0.0000 0.0000
V2 V 0.0163 0.6927 0.6678
V3 V 0.4668 0.7779 0.3366
V4 V 0.5000 0.5000 0.0000
V5 V 0.5332 0.2221 0.6634
V6 V 0.9837 0.3073 0.3322
O1 O 0.2888 0.5225 0.3603
O2 O 0.7112 0.4775 0.6397
F1 F 0.0982 0.0364 0.8796
F2 F 0.0985 0.3690 0.2136
F3 F 0.0980 0.7036 0.5465
F4 F 0.1900 0.0045 0.3624
F5 F 0.1941 0.6865 0.0284
F6 F 0.2208 0.3749 0.6967
F7 F 0.3056 0.1869 0.0284
F8 F 0.3064 0.8705 0.6948
F9 F 0.4009 0.8802 0.2141
F10 F 0.4016 0.2012 0.5499
F11 F 0.4015 0.5349 0.8796
F12 F 0.5985 0.4651 0.1204
F13 F 0.5984 0.7988 0.4501
F14 F 0.5991 0.1198 0.7859
F15 F 0.6936 0.1295 0.3052
F16 F 0.6944 0.8131 0.9716
F17 F 0.7792 0.6251 0.3033
F18 F 0.8059 0.3135 0.9716
F19 F 0.8100 0.9955 0.6376
F20 F 0.9020 0.2964 0.4535
F21 F 0.9015 0.6310 0.7864
F22 F 0.9018 0.9636 0.1204

***

No. 6
# CsHg | the Materials Project | r2SCAN | relaxed
# Symmetry ... P-1
# Energy relative to the elements ... -23.2 kJ/mol of atoms
# VASP energy ... -37.478 eV per atom
data_CsHg
_chemical_formula_sum 'Cs4 Hg4'
_space_group_name_H-M_alt 'P 1'
_space_group_IT_number 1
_cell_length_a 7.2590
_cell_length_b 7.6018
_cell_length_c 7.6903
_cell_angle_alpha 107.81
_cell_angle_beta 103.63
_cell_angle_gamma 91.73
loop_
_space_group_symop_operation_xyz
'x,y,z'
loop_
_atom_site_label
_atom_site_type_symbol
_atom_site_fract_x
_atom_site_fract_y
_atom_site_fract_z
Cs1 Cs 0.1879 0.2881 0.1390
Cs2 Cs 0.2572 0.8405 0.5514
Cs3 Cs 0.7428 0.1595 0.4486
Cs4 Cs 0.8121 0.7119 0.8610
Hg1 Hg 0.3111 0.3954 0.7129
Hg2 Hg 0.3649 0.7473 0.0537
Hg3 Hg 0.6351 0.2527 0.9463
Hg4 Hg 0.6889 0.6046 0.2871

***

No. 7
# NdGe2 | the Materials Project | r2SCAN | relaxed
# Symmetry ... I4_1/amd
# Energy relative to the elements ... -64.6 kJ/mol of atoms
# VASP energy ... -19.724 eV per atom
data_NdGe2
_chemical_formula_sum 'Nd2 Ge4'
_space_group_name_H-M_alt 'P 1'
_space_group_IT_number 1
_cell_length_a 8.5854
_cell_length_b 8.5854
_cell_length_c 8.5854
_cell_angle_alpha 152.16
_cell_angle_beta 152.16
_cell_angle_gamma 39.78
loop_
_space_group_symop_operation_xyz
'x,y,z'
loop_
_atom_site_label
_atom_site_type_symbol
_atom_site_fract_x
_atom_site_fract_y
_atom_site_fract_z
Nd1 Nd 0.3750 0.6250 0.7500
Nd2 Nd 0.6250 0.3750 0.2500
Ge1 Ge 0.0453 0.7953 0.2500
Ge2 Ge 0.2047 0.9547 0.2500
Ge3 Ge 0.7953 0.0453 0.7500
Ge4 Ge 0.9547 0.2047 0.7500

***

No. 8
# Co3Sn2S2 | the Materials Project | r2SCAN | relaxed
# Symmetry ... R-3m
# Energy relative to the elements ... -28.3 kJ/mol of atoms
# VASP energy ... -15.331 eV per atom
data_Co3Sn2S2
_chemical_formula_sum 'Co3 Sn2 S2'
_space_group_name_H-M_alt 'P 1'
_space_group_IT_number 1
_cell_length_a 5.3304
_cell_length_b 5.3304
_cell_length_c 5.3304
_cell_angle_alpha 60.40
_cell_angle_beta 60.40
_cell_angle_gamma 60.40
loop_
_space_group_symop_operation_xyz
'x,y,z'
loop_
_atom_site_label
_atom_site_type_symbol
_atom_site_fract_x
_atom_site_fract_y
_atom_site_fract_z
Co1 Co 0.0000 0.5000 0.5000
Co2 Co 0.5000 0.0000 0.5000
Co3 Co 0.5000 0.5000 0.0000
Sn1 Sn 0.0000 0.0000 0.0000
Sn2 Sn 0.5000 0.5000 0.5000
S1 S 0.2195 0.2195 0.2195
S2 S 0.7805 0.7805 0.7805

***

What did the first record say?
# UFe2Si2 | the Materials Project | r2SCAN | relaxed
# Symmetry ... I4/mmm
# Energy relative to the elements ... -41.6 kJ/mol of atoms
# VASP energy ... -25.694 eV per atom
data_UFe2Si2
_chemical_formula_sum 'U1 Fe2 Si2'
_space_group_name_H-M_alt 'P 1'
_space_group_IT_number 1
_cell_length_a 5.4040
_cell_length_b 5.4040
_cell_length_c 5.4040
_cell_angle_alpha 136.95
_cell_angle_beta 136.95
_cell_angle_gamma 62.52
loop_
_space_group_symop_operation_xyz
'x,y,z'
loop_
_atom_site_label
_atom_site_type_symbol
_atom_site_fract_x
_atom_site_fract_y
_atom_site_fract_z
U1 U 0.0000 0.0000 0.0000
Fe1 Fe 0.2500 0.7500 0.5000
Fe2 Fe 0.7500 0.2500 0.5000
Si1 Si 0.3671 0.3671 0.0000
Si2 Si 0.6329 0.6329 0.0000

***

What is the formula in the fourth record?
CeGa6

***

What is the energy relative to the elements in the first record?
-41.6 kJ/mol of atoms

***

The highest VASP energy belongs to which entry?
V3OF11